# 1
First-principles (PBE with a Hubbard U) data for a relaxed Li3CrPCO7 crystal, as listed in Materials Project.

Computed properties:
Final energy = -6.828 eV/atom
Symmetry = No. 14
Energy with MP2020 corrections = -7.352 eV per atom
Energy above the most stable polymorph in this dataset = 1.2 kJ/mol of atoms
DFT formation energy = -2378 meV per atom

Unit cell a=8.567 b=6.474 c=9.978 alpha=90.00 beta=95.18 gamma=90.00
Fractional coordinates of all 52 atoms:
Li (0.108, 0.249, 0.365)
Li (0.108, 0.251, 0.865)
Li (0.289, 0.019, 0.132)
Li (0.289, 0.481, 0.632)
Li (0.354, 0.747, 0.862)
Li (0.354, 0.753, 0.362)
Li (0.646, 0.247, 0.638)
Li (0.646, 0.253, 0.138)
Li (0.711, 0.519, 0.368)
Li (0.711, 0.981, 0.868)
Li (0.892, 0.749, 0.135)
Li (0.892, 0.751, 0.635)
Cr (0.262, 0.514, 0.125)
Cr (0.262, 0.986, 0.625)
Cr (0.738, 0.014, 0.375)
Cr (0.738, 0.486, 0.875)
P (0.410, 0.249, 0.389)
P (0.410, 0.251, 0.889)
P (0.590, 0.749, 0.111)
P (0.590, 0.751, 0.611)
C (0.039, 0.741, 0.897)
C (0.039, 0.759, 0.397)
C (0.961, 0.241, 0.603)
C (0.961, 0.259, 0.103)
O (0.064, 0.748, 0.274)
O (0.064, 0.752, 0.774)
O (0.106, 0.228, 0.567)
O (0.106, 0.272, 0.067)
O (0.153, 0.745, 0.993)
O (0.153, 0.755, 0.493)
O (0.311, 0.060, 0.338)
O (0.311, 0.440, 0.838)
O (0.314, 0.061, 0.830)
O (0.314, 0.439, 0.330)
O (0.422, 0.750, 0.161)
O (0.422, 0.750, 0.661)
O (0.426, 0.240, 0.044)
O (0.426, 0.260, 0.544)
O (0.574, 0.740, 0.456)
O (0.574, 0.760, 0.956)
O (0.578, 0.250, 0.339)
O (0.578, 0.250, 0.839)
O (0.686, 0.561, 0.670)
O (0.686, 0.939, 0.170)
O (0.689, 0.560, 0.162)
O (0.689, 0.940, 0.662)
O (0.847, 0.245, 0.507)
O (0.847, 0.255, 0.007)
O (0.894, 0.728, 0.933)
O (0.894, 0.772, 0.433)
O (0.936, 0.248, 0.226)
O (0.936, 0.252, 0.726)


# 2
First-principles (PBE with a Hubbard U) data for a relaxed Li3CrPCO7 crystal, as listed in Materials Project.

Computed properties:
Final energy = -6.828 eV/atom
Symmetry = No. 14
Energy with MP2020 corrections = -7.352 eV per atom
Energy above the most stable polymorph in this dataset = 1.1 kJ/mol of atoms
DFT formation energy = -2378 meV per atom

Unit cell a=8.555 b=6.485 c=9.989 alpha=90.00 beta=95.09 gamma=90.00
Fractional coordinates of all 52 atoms:
Li (0.107, 0.246, 0.115)
Li (0.107, 0.254, 0.615)
Li (0.293, 0.019, 0.884)
Li (0.293, 0.481, 0.384)
Li (0.354, 0.742, 0.611)
Li (0.354, 0.758, 0.111)
Li (0.646, 0.242, 0.889)
Li (0.646, 0.258, 0.389)
Li (0.707, 0.519, 0.616)
Li (0.707, 0.981, 0.116)
Li (0.893, 0.746, 0.385)
Li (0.893, 0.754, 0.885)
Cr (0.262, 0.510, 0.876)
Cr (0.262, 0.990, 0.376)
Cr (0.738, 0.010, 0.624)
Cr (0.738, 0.490, 0.124)
P (0.410, 0.247, 0.639)
P (0.410, 0.253, 0.139)
P (0.590, 0.747, 0.861)
P (0.590, 0.753, 0.361)
C (0.038, 0.750, 0.147)
C (0.038, 0.750, 0.647)
C (0.962, 0.250, 0.353)
C (0.962, 0.250, 0.853)
O (0.065, 0.747, 0.024)
O (0.065, 0.753, 0.524)
O (0.108, 0.234, 0.318)
O (0.108, 0.266, 0.818)
O (0.150, 0.732, 0.743)
O (0.150, 0.768, 0.243)
O (0.312, 0.057, 0.583)
O (0.312, 0.443, 0.083)
O (0.314, 0.064, 0.086)
O (0.314, 0.436, 0.586)
O (0.422, 0.748, 0.911)
O (0.422, 0.752, 0.411)
O (0.426, 0.238, 0.795)
O (0.426, 0.262, 0.295)
O (0.574, 0.738, 0.705)
O (0.574, 0.762, 0.205)
O (0.578, 0.248, 0.589)
O (0.578, 0.252, 0.089)
O (0.686, 0.564, 0.414)
O (0.686, 0.936, 0.914)
O (0.688, 0.557, 0.917)
O (0.688, 0.943, 0.417)
O (0.850, 0.232, 0.757)
O (0.850, 0.268, 0.257)
O (0.892, 0.734, 0.182)
O (0.892, 0.766, 0.682)
O (0.935, 0.247, 0.476)
O (0.935, 0.253, 0.976)


# 3
First-principles (PBE with a Hubbard U) data for a relaxed Li5Cr2P2C2O14 crystal, as listed in Materials Project.

Computed properties:
Final energy = -6.951 eV/atom
Symmetry = No. 1
Energy with MP2020 corrections = -7.496 eV per atom
DFT formation energy = -2400 meV per atom

Unit cell a=5.072 b=6.437 c=8.593 alpha=92.70 beta=94.30 gamma=92.31
Fractional coordinates of all 25 atoms:
Li (0.000, 0.000, 0.000)
Li (0.016, 0.517, 0.936)
Li (0.407, 0.435, 0.468)
Li (0.537, 0.714, 0.103)
Li (0.558, 0.949, 0.434)
Cr (0.565, 0.217, 0.876)
Cr (0.975, 0.706, 0.554)
P (0.044, 0.212, 0.635)
P (0.489, 0.707, 0.795)
C (0.062, 0.732, 0.246)
C (0.496, 0.210, 0.158)
O (0.146, 0.740, 0.107)
O (0.186, 0.700, 0.791)
O (0.236, 0.718, 0.366)
O (0.301, 0.216, 0.046)
O (0.352, 0.203, 0.667)
O (0.459, 0.200, 0.301)
O (0.581, 0.684, 0.629)
O (0.601, 0.533, 0.903)
O (0.608, 0.907, 0.891)
O (0.730, 0.215, 0.102)
O (0.814, 0.739, 0.267)
O (0.922, 0.015, 0.546)
O (0.928, 0.240, 0.798)
O (0.992, 0.394, 0.529)


# 4
First-principles (PBE with a Hubbard U) data for a relaxed Li3CrPCO7 crystal, as listed in Materials Project.

Computed properties:
Final energy = -6.840 eV/atom
Energy with MP2020 corrections = -7.364 eV per atom
Energy above the most stable polymorph in this dataset = 0.0 kJ/mol of atoms
DFT formation energy = -2390 meV per atom

Unit cell a=5.099 b=12.983 c=8.648 alpha=89.99 beta=84.83 gamma=90.01
Fractional coordinates of all 52 atoms:
Li (0.849, 0.125, 0.083)
Li (0.849, 0.625, 0.083)
Li (0.151, 0.375, 0.917)
Li (0.151, 0.875, 0.917)
Li (0.769, 0.487, 0.711)
Li (0.769, 0.987, 0.711)
Li (0.231, 0.013, 0.289)
Li (0.231, 0.513, 0.289)
Li (0.769, 0.263, 0.711)
Li (0.769, 0.763, 0.711)
Li (0.231, 0.237, 0.289)
Li (0.231, 0.737, 0.289)
Cr (0.760, 0.875, 0.331)
Cr (0.240, 0.625, 0.669)
Cr (0.759, 0.375, 0.331)
Cr (0.240, 0.125, 0.669)
P (0.699, 0.125, 0.418)
P (0.698, 0.625, 0.418)
P (0.301, 0.375, 0.582)
P (0.302, 0.875, 0.582)
C (0.658, 0.375, 0.012)
C (0.658, 0.875, 0.012)
C (0.342, 0.125, 0.988)
C (0.342, 0.625, 0.988)
O (0.211, 0.375, 0.416)
O (0.211, 0.875, 0.416)
O (0.789, 0.125, 0.584)
O (0.789, 0.625, 0.584)
O (0.861, 0.375, 0.096)
O (0.861, 0.875, 0.096)
O (0.139, 0.125, 0.904)
O (0.139, 0.625, 0.904)
O (0.579, 0.125, 0.925)
O (0.579, 0.625, 0.925)
O (0.421, 0.375, 0.075)
O (0.421, 0.875, 0.075)
O (0.390, 0.125, 0.435)
O (0.389, 0.625, 0.436)
O (0.610, 0.375, 0.565)
O (0.610, 0.875, 0.564)
O (0.714, 0.375, 0.863)
O (0.713, 0.875, 0.863)
O (0.286, 0.125, 0.137)
O (0.286, 0.625, 0.137)
O (0.195, 0.281, 0.681)
O (0.195, 0.781, 0.681)
O (0.196, 0.469, 0.681)
O (0.195, 0.969, 0.681)
O (0.805, 0.219, 0.319)
O (0.805, 0.719, 0.319)
O (0.805, 0.031, 0.319)
O (0.804, 0.531, 0.319)


# 5
First-principles (PBE with a Hubbard U) data for a relaxed Li3CrPCO7 crystal, as listed in Materials Project.

Computed properties:
Final energy = -6.837 eV/atom
Symmetry = No. 1
Energy with MP2020 corrections = -7.360 eV per atom
Energy above the most stable polymorph in this dataset = 0.3 kJ/mol of atoms
DFT formation energy = -2387 meV per atom

Unit cell a=4.978 b=8.663 c=12.945 alpha=90.17 beta=90.20 gamma=94.66
Fractional coordinates of all 52 atoms:
Li (0.000, 0.000, 0.000)
Li (0.000, 0.001, 0.511)
Li (0.457, 0.221, 0.763)
Li (0.457, 0.465, 0.000)
Li (0.462, 0.220, 0.259)
Li (0.478, 0.828, 0.113)
Li (0.484, 0.834, 0.399)
Li (0.487, 0.831, 0.894)
Li (0.491, 0.838, 0.622)
Li (0.966, 0.386, 0.374)
Li (0.973, 0.384, 0.649)
Li (0.991, 0.390, 0.866)
Cr (0.021, 0.774, 0.258)
Cr (0.026, 0.774, 0.757)
Cr (0.433, 0.442, 0.508)
Cr (0.988, 0.360, 0.119)
P (0.498, 0.522, 0.258)
P (0.506, 0.518, 0.759)
P (0.947, 0.694, 0.007)
P (0.952, 0.698, 0.507)
C (0.520, 0.146, 0.013)
C (0.525, 0.141, 0.505)
C (0.935, 0.076, 0.758)
C (0.939, 0.076, 0.253)
O (0.042, 0.532, 0.507)
O (0.047, 0.529, 0.004)
O (0.061, 0.792, 0.101)
O (0.062, 0.794, 0.915)
O (0.066, 0.797, 0.415)
O (0.068, 0.797, 0.601)
O (0.187, 0.055, 0.759)
O (0.191, 0.056, 0.254)
O (0.268, 0.169, 0.014)
O (0.273, 0.164, 0.505)
O (0.383, 0.421, 0.351)
O (0.388, 0.426, 0.163)
O (0.391, 0.422, 0.664)
O (0.396, 0.421, 0.851)
O (0.411, 0.689, 0.259)
O (0.416, 0.686, 0.758)
O (0.600, 0.006, 0.008)
O (0.607, 0.002, 0.508)
O (0.636, 0.684, 0.006)
O (0.640, 0.690, 0.507)
O (0.700, 0.265, 0.016)
O (0.703, 0.261, 0.502)
O (0.759, 0.955, 0.756)
O (0.760, 0.959, 0.260)
O (0.811, 0.528, 0.261)
O (0.819, 0.528, 0.756)
O (0.851, 0.215, 0.758)
O (0.856, 0.217, 0.245)


# 6
First-principles (PBE with a Hubbard U) data for a relaxed Li2CrPCO7 crystal, as listed in Materials Project.

Computed properties:
Final energy = -7.087 eV/atom
Energy with MP2020 corrections = -7.655 eV per atom
Energy above the most stable polymorph in this dataset = 0.4 kJ/mol of atoms
DFT formation energy = -2426 meV per atom

Unit cell a=8.127 b=8.127 c=9.576 alpha=73.17 beta=73.17 gamma=103.66
Fractional coordinates of all 48 atoms:
Li (0.726, 0.725, 0.774)
Li (0.226, 0.225, 0.774)
Li (0.774, 0.775, 0.226)
Li (0.274, 0.275, 0.226)
Li (0.525, 0.024, 0.226)
Li (0.025, 0.524, 0.226)
Li (0.975, 0.476, 0.774)
Li (0.475, 0.976, 0.774)
Cr (0.308, 0.558, 0.344)
Cr (0.192, 0.942, 0.656)
Cr (0.808, 0.058, 0.344)
Cr (0.692, 0.442, 0.656)
P (0.054, 0.804, 0.419)
P (0.554, 0.304, 0.419)
P (0.446, 0.696, 0.581)
P (0.946, 0.196, 0.581)
C (0.482, 0.732, 0.059)
C (0.982, 0.232, 0.059)
C (0.018, 0.768, 0.941)
C (0.518, 0.268, 0.941)
O (0.334, 0.584, 0.120)
O (0.834, 0.084, 0.120)
O (0.166, 0.916, 0.880)
O (0.666, 0.416, 0.880)
O (0.972, 0.722, 0.832)
O (0.472, 0.222, 0.832)
O (0.528, 0.778, 0.168)
O (0.028, 0.278, 0.168)
O (0.585, 0.835, 0.413)
O (0.085, 0.335, 0.413)
O (0.915, 0.665, 0.587)
O (0.415, 0.165, 0.587)
O (0.198, 0.948, 0.442)
O (0.698, 0.448, 0.442)
O (0.302, 0.552, 0.558)
O (0.802, 0.052, 0.558)
O (0.071, 0.321, 0.912)
O (0.571, 0.821, 0.912)
O (0.429, 0.179, 0.088)
O (0.929, 0.679, 0.088)
O (0.545, 0.604, 0.676)
O (0.045, 0.104, 0.676)
O (0.354, 0.795, 0.676)
O (0.854, 0.295, 0.676)
O (0.146, 0.705, 0.324)
O (0.646, 0.205, 0.324)
O (0.955, 0.896, 0.324)
O (0.455, 0.396, 0.324)


# 7
First-principles (PBE with a Hubbard U) data for a relaxed Li3CrPCO7 crystal, as listed in Materials Project.

Computed properties:
Final energy = -6.831 eV/atom
Symmetry = No. 4
Energy with MP2020 corrections = -7.354 eV per atom
Energy above the most stable polymorph in this dataset = 0.9 kJ/mol of atoms
DFT formation energy = -2381 meV per atom

Unit cell a=4.973 b=6.531 c=8.579 alpha=90.00 beta=94.78 gamma=90.00
Fractional coordinates of all 26 atoms:
Li (0.227, 0.000, 0.359)
Li (0.228, 0.487, 0.115)
Li (0.236, 0.766, 0.698)
Li (0.764, 0.266, 0.302)
Li (0.772, 0.987, 0.885)
Li (0.773, 0.500, 0.641)
Cr (0.244, 0.260, 0.746)
Cr (0.756, 0.760, 0.254)
P (0.273, 0.486, 0.413)
P (0.727, 0.986, 0.587)
C (0.286, 0.988, 0.042)
C (0.714, 0.488, 0.958)
O (0.034, 0.979, 0.059)
O (0.159, 0.677, 0.318)
O (0.165, 0.300, 0.314)
O (0.177, 0.490, 0.581)
O (0.373, 0.020, 0.902)
O (0.414, 0.990, 0.576)
O (0.465, 0.970, 0.160)
O (0.535, 0.470, 0.840)
O (0.586, 0.490, 0.424)
O (0.627, 0.520, 0.098)
O (0.823, 0.990, 0.419)
O (0.835, 0.800, 0.686)
O (0.841, 0.177, 0.682)
O (0.966, 0.479, 0.941)


# 8
First-principles (PBE with a Hubbard U) data for a relaxed Li3CrPCO7 crystal, as listed in Materials Project.

Computed properties:
Final energy = -6.838 eV/atom
Symmetry = No. 4
Energy with MP2020 corrections = -7.362 eV per atom
Energy above the most stable polymorph in this dataset = 0.2 kJ/mol of atoms
DFT formation energy = -2389 meV per atom

Unit cell a=5.116 b=6.472 c=8.555 alpha=90.00 beta=91.94 gamma=90.00
Fractional coordinates of all 26 atoms:
Li (0.031, 0.000, 0.497)
Li (0.440, 0.676, 0.313)
Li (0.446, 0.897, 0.978)
Li (0.554, 0.397, 0.022)
Li (0.560, 0.176, 0.687)
Li (0.969, 0.500, 0.503)
Cr (0.025, 0.239, 0.226)
Cr (0.975, 0.739, 0.774)
P (0.042, 0.236, 0.837)
P (0.958, 0.736, 0.163)
C (0.476, 0.724, 0.620)
C (0.524, 0.224, 0.380)
O (0.010, 0.929, 0.267)
O (0.076, 0.552, 0.263)
O (0.111, 0.758, 0.012)
O (0.230, 0.743, 0.575)
O (0.338, 0.198, 0.873)
O (0.352, 0.196, 0.485)
O (0.459, 0.236, 0.232)
O (0.541, 0.736, 0.768)
O (0.648, 0.696, 0.515)
O (0.662, 0.698, 0.127)
O (0.770, 0.243, 0.425)
O (0.889, 0.258, 0.988)
O (0.924, 0.052, 0.737)
O (0.990, 0.429, 0.733)


# 9
First-principles (PBE with a Hubbard U) data for a relaxed Li3CrPCO7 crystal, as listed in Materials Project.

Computed properties:
Final energy = -6.830 eV/atom
Symmetry = No. 1
Energy with MP2020 corrections = -7.354 eV per atom
Energy above the most stable polymorph in this dataset = 1.0 kJ/mol of atoms
DFT formation energy = -2380 meV per atom

Unit cell a=6.460 b=8.676 c=10.033 alpha=94.75 beta=90.08 gamma=90.08
Fractional coordinates of all 52 atoms:
Li (0.000, 0.000, 0.000)
Li (0.000, 0.004, 0.524)
Li (0.045, 0.441, 0.764)
Li (0.046, 0.454, 0.269)
Li (0.255, 0.626, 0.022)
Li (0.259, 0.627, 0.525)
Li (0.263, 0.072, 0.746)
Li (0.485, 0.454, 0.269)
Li (0.529, 0.001, 0.525)
Li (0.532, 0.003, 0.002)
Li (0.766, 0.844, 0.748)
Li (0.767, 0.833, 0.257)
Cr (0.266, 0.058, 0.245)
Cr (0.519, 0.466, 0.772)
Cr (0.766, 0.389, 0.042)
Cr (0.771, 0.388, 0.523)
P (0.265, 0.313, 0.001)
P (0.266, 0.311, 0.499)
P (0.763, 0.137, 0.780)
P (0.766, 0.136, 0.281)
C (0.266, 0.758, 0.289)
C (0.267, 0.765, 0.789)
C (0.759, 0.695, 0.990)
C (0.764, 0.696, 0.495)
O (0.079, 0.414, 0.058)
O (0.081, 0.413, 0.557)
O (0.254, 0.871, 0.885)
O (0.264, 0.148, 0.049)
O (0.264, 0.302, 0.846)
O (0.266, 0.618, 0.329)
O (0.266, 0.877, 0.378)
O (0.267, 0.147, 0.544)
O (0.267, 0.309, 0.344)
O (0.267, 0.781, 0.164)
O (0.267, 0.791, 0.666)
O (0.278, 0.616, 0.822)
O (0.453, 0.412, 0.058)
O (0.456, 0.412, 0.555)
O (0.572, 0.042, 0.728)
O (0.579, 0.039, 0.223)
O (0.754, 0.570, 0.903)
O (0.759, 0.831, 0.946)
O (0.760, 0.668, 0.619)
O (0.761, 0.308, 0.734)
O (0.765, 0.151, 0.936)
O (0.765, 0.836, 0.458)
O (0.766, 0.305, 0.238)
O (0.767, 0.145, 0.436)
O (0.768, 0.579, 0.403)
O (0.768, 0.672, 0.114)
O (0.952, 0.039, 0.223)
O (0.954, 0.047, 0.725)